Entry 1:
VASP calculation (meta-GGA r2SCAN) on an optimized crystal structure of Ba3Ca.

POSCAR file:
```
Ba3Ca
1.0
6.2549 0.0000 0.0000
0.0000 6.2549 0.0000
0.0000 0.0000 6.2549
Ba Ca
3 1
Direct
0.0000 0.0000 0.5000
0.0000 0.5000 0.0000
0.5000 0.0000 0.0000
0.5000 0.5000 0.5000
```

Properties
ΔE_f in eV per atom: 0.10
Polymorph energy (0 for the lowest one) in meV per atom: 80
V in Å³/atom: 61.2
SG: Pm-3m (221)
Spin magnetization in μB/atom: 0.124

Entry 2:
VASP calculation (meta-GGA r2SCAN) on an optimized crystal structure of Ba3Ca.

POSCAR file:
```
Ba3Ca
1.0
8.9040 0.0000 0.0000
-4.4520 7.7111 0.0000
0.0000 0.0000 7.0732
Ba Ca
6 2
Direct
0.1709 0.3418 0.2500
0.1709 0.8291 0.2500
0.3418 0.1709 0.7500
0.6582 0.8291 0.2500
0.8291 0.1709 0.7500
0.8291 0.6582 0.7500
0.3333 0.6667 0.7500
0.6667 0.3333 0.2500
```

Properties
ΔE_f in eV per atom: 0.02
Polymorph energy (0 for the lowest one) in meV per atom: 0
V in Å³/atom: 60.7
SG: P6_3/mmc (194)
Spin magnetization in μB/atom: 0.045

Entry 3:
VASP calculation (meta-GGA r2SCAN) on an optimized crystal structure of Ba3Ca.

POSCAR file:
```
Ba3Ca
1.0
-3.0779 3.0779 6.3976
3.0779 -3.0779 6.3976
3.0779 3.0779 -6.3976
Ba Ca
3 1
Direct
0.0000 0.0000 0.0000
0.2500 0.7500 0.5000
0.7500 0.2500 0.5000
0.5000 0.5000 0.0000
```

Properties
ΔE_f in eV per atom: 0.08
Polymorph energy (0 for the lowest one) in meV per atom: 69
V in Å³/atom: 60.6
SG: I4/mmm (139)
Spin magnetization in μB/atom: 0.002

Entry 4:
VASP calculation (meta-GGA r2SCAN) on an optimized crystal structure of Ba2CaGa2CuF14.

POSCAR file:
```
Ba2CaGa2CuF14
1.0
6.8902 -2.6664 0.0000
6.8902 2.6664 0.0000
-0.4480 0.0000 14.6955
Ba Ca Ga Cu F
4 2 4 2 28
Direct
0.1293 0.2532 0.1201
0.2532 0.1293 0.6201
0.7468 0.8707 0.3799
0.8707 0.7468 0.8799
0.4221 0.5779 0.2500
0.5779 0.4221 0.7500
0.0993 0.1400 0.3759
0.1400 0.0993 0.8759
0.8600 0.9007 0.1241
0.9007 0.8600 0.6241
0.5000 0.5000 0.0000
0.5000 0.5000 0.5000
0.0417 0.6419 0.2221
0.0603 0.9234 0.3448
0.0766 0.9397 0.1552
0.1207 0.7108 0.5189
0.1381 0.5977 0.0470
0.1704 0.5843 0.7059
0.1733 0.3279 0.4078
0.2892 0.8793 0.9811
0.3279 0.1733 0.9078
0.3581 0.9583 0.2779
0.3840 0.5057 0.8843
0.4023 0.8619 0.4530
0.4157 0.8296 0.7941
0.4943 0.6160 0.6157
0.5057 0.3840 0.3843
0.5843 0.1704 0.2059
0.5977 0.1381 0.5470
0.6160 0.4943 0.1157
0.6419 0.0417 0.7221
0.6721 0.8267 0.0922
0.7108 0.1207 0.0189
0.8267 0.6721 0.5922
0.8296 0.4157 0.2941
0.8619 0.4023 0.9530
0.8793 0.2892 0.4811
0.9234 0.0603 0.8448
0.9397 0.0766 0.6552
0.9583 0.3581 0.7779
```

Properties
ΔE_f in eV per atom: -3.35
V in Å³/atom: 13.5
SG: C2/c (15)
Spin magnetization in μB/atom: 0.050

Entry 5:
VASP calculation (meta-GGA r2SCAN) on an optimized crystal structure of Ba2CaMnV2F14.

POSCAR file:
```
Ba2CaMnV2F14
1.0
6.8755 -2.6969 0.0000
6.8755 2.6969 0.0000
-0.4641 0.0000 14.9876
Ba Ca Mn V F
4 2 2 4 28
Direct
0.1496 0.2345 0.1215
0.2345 0.1496 0.6215
0.7655 0.8504 0.3785
0.8504 0.7655 0.8785
0.4444 0.5556 0.2500
0.5556 0.4444 0.7500
0.5000 0.5000 0.0000
0.5000 0.5000 0.5000
0.1189 0.1217 0.8759
0.1217 0.1189 0.3759
0.8783 0.8811 0.6241
0.8811 0.8783 0.1241
0.0587 0.6201 0.2245
0.0853 0.8949 0.3434
0.0968 0.7310 0.5149
0.1051 0.9147 0.1566
0.1528 0.5949 0.7026
0.1683 0.5759 0.0478
0.1999 0.3045 0.4129
0.2690 0.9032 0.9851
0.3045 0.1999 0.9129
0.3503 0.5359 0.8774
0.3799 0.9413 0.2755
0.4051 0.8472 0.7974
0.4241 0.8317 0.4522
0.4641 0.6497 0.6226
0.5359 0.3503 0.3774
0.5759 0.1683 0.5478
0.5949 0.1528 0.2026
0.6201 0.0587 0.7245
0.6497 0.4641 0.1226
0.6955 0.8001 0.0871
0.7310 0.0968 0.0149
0.8001 0.6955 0.5871
0.8317 0.4241 0.9522
0.8472 0.4051 0.2974
0.8949 0.0853 0.8434
0.9032 0.2690 0.4851
0.9147 0.1051 0.6566
0.9413 0.3799 0.7755
```

Properties
ΔE_f in eV per atom: -3.64
V in Å³/atom: 13.9
SG: C2/c (15)
Spin magnetization in μB/atom: 0.450

Entry 6:
VASP calculation (meta-GGA r2SCAN) on an optimized crystal structure of Ba2CaI6.

POSCAR file:
```
Ba2CaI6
1.0
7.7629 0.0000 0.0000
0.0000 9.1110 0.0000
-7.5293 0.0000 11.2047
Ba Ca I
4 2 12
Direct
0.2123 0.1121 0.2535
0.2123 0.3879 0.7535
0.7877 0.6121 0.2465
0.7877 0.8879 0.7465
0.5000 0.0000 0.0000
0.5000 0.5000 0.5000
0.1064 0.1711 0.9410
0.1064 0.3289 0.4410
0.2834 0.6902 0.9429
0.2834 0.8098 0.4429
0.3586 0.0312 0.7378
0.3586 0.4688 0.2378
0.6414 0.5312 0.7622
0.6414 0.9688 0.2622
0.7166 0.1902 0.5571
0.7166 0.3098 0.0571
0.8936 0.6711 0.5590
0.8936 0.8289 0.0590
```

Properties
ΔE_f in eV per atom: -1.98
V in Å³/atom: 44.0
SG: P2_1/c (14)
Spin magnetization in μB/atom: 0.000

Entry 7:
VASP calculation (meta-GGA r2SCAN) on an optimized crystal structure of BaCaI4.

POSCAR file:
```
BaCaI4
1.0
7.9624 0.0000 0.0000
0.0000 8.3465 0.0000
-1.6287 0.0000 8.1535
Ba Ca I
2 2 8
Direct
0.0000 0.2291 0.2500
0.0000 0.7709 0.7500
0.5000 0.3387 0.7500
0.5000 0.6613 0.2500
0.2521 0.4324 0.9918
0.2521 0.5676 0.4918
0.2531 0.0707 0.5999
0.2531 0.9293 0.0999
0.7469 0.0707 0.9001
0.7469 0.9293 0.4001
0.7479 0.4324 0.5082
0.7479 0.5676 0.0082
```

Properties
ΔE_f in eV per atom: -1.92
V in Å³/atom: 45.2
SG: P2/c (13)
Spin magnetization in μB/atom: 0.000

Entry 8:
VASP calculation (meta-GGA r2SCAN) on an optimized crystal structure of Ba3CaIr2O9.

POSCAR file:
```
Ba3CaIr2O9
1.0
2.9653 -5.1346 0.0000
2.9653 5.1346 0.0000
-0.1249 0.0000 14.5944
Ba Ca Ir O
6 2 4 18
Direct
0.0006 0.9994 0.7500
0.3317 0.6653 0.4124
0.3347 0.6683 0.0876
0.6653 0.3317 0.9124
0.6683 0.3347 0.5876
0.9994 0.0006 0.2500
0.0000 0.0000 0.0000
0.0000 0.0000 0.5000
0.3299 0.6627 0.8362
0.3373 0.6701 0.6637
0.6627 0.3299 0.3362
0.6701 0.3373 0.1638
0.0203 0.5100 0.7474
0.1721 0.3505 0.9090
0.1719 0.8133 0.9117
0.1866 0.3653 0.5858
0.1867 0.8281 0.5883
0.3505 0.1721 0.4090
0.3653 0.1866 0.0858
0.4903 0.5097 0.7500
0.4900 0.9797 0.7526
0.5100 0.0203 0.2474
0.5097 0.4903 0.2500
0.6347 0.8134 0.9142
0.6495 0.8279 0.5910
0.8133 0.1719 0.4117
0.8134 0.6347 0.4142
0.8281 0.1867 0.0883
0.8279 0.6495 0.0910
0.9797 0.4900 0.2526
```

Properties
ΔE_f in eV per atom: -2.15
V in Å³/atom: 14.8
SG: C2/c (15)
Spin magnetization in μB/atom: 0.135

Entry 9:
VASP calculation (meta-GGA r2SCAN) on an optimized crystal structure of Ba14Na14CaN6.

POSCAR file:
```
Ba14Na14CaN6
1.0
0.0000 8.9621 8.9621
8.9621 0.0000 8.9621
8.9621 8.9621 0.0000
Ba Na Ca N
14 14 1 6
Direct
0.1817 0.6061 0.6061
0.2139 0.2139 0.7861
0.2139 0.7861 0.2139
0.2139 0.7861 0.7861
0.3939 0.3939 0.3939
0.3939 0.3939 0.8183
0.3939 0.8183 0.3939
0.6061 0.1817 0.6061
0.6061 0.6061 0.1817
0.6061 0.6061 0.6061
0.7861 0.2139 0.2139
0.7861 0.2139 0.7861
0.7861 0.7861 0.2139
0.8183 0.3939 0.3939
0.0000 0.0000 0.5000
0.0000 0.5000 0.0000
0.0000 0.5000 0.5000
0.1715 0.1715 0.1715
0.1715 0.1715 0.4856
0.1715 0.4856 0.1715
0.4856 0.1715 0.1715
0.5000 0.0000 0.0000
0.5000 0.0000 0.5000
0.5000 0.5000 0.0000
0.5144 0.8285 0.8285
0.8285 0.5144 0.8285
0.8285 0.8285 0.5144
0.8285 0.8285 0.8285
0.5000 0.5000 0.5000
0.3560 0.3560 0.6440
0.3560 0.6440 0.3560
0.3560 0.6440 0.6440
0.6440 0.3560 0.3560
0.6440 0.3560 0.6440
0.6440 0.6440 0.3560
```

Properties
ΔE_f in eV per atom: -0.31
V in Å³/atom: 41.1
SG: Fm-3m (225)
Spin magnetization in μB/atom: 0.014

Entry 10:
VASP calculation (meta-GGA r2SCAN) on an optimized crystal structure of Ba2CaReO6.

POSCAR file:
```
Ba2CaReO6
1.0
-2.9704 2.9704 4.2134
2.9704 -2.9704 4.2134
2.9704 2.9704 -4.2134
Ba Ca Re O
2 1 1 6
Direct
0.2500 0.7500 0.5000
0.7500 0.2500 0.5000
0.0000 0.0000 0.0000
0.5000 0.5000 0.0000
0.2575 0.2845 0.5420
0.2706 0.2706 0.0000
0.2845 0.7425 0.0269
0.7155 0.2575 0.9731
0.7294 0.7294 0.0000
0.7425 0.7155 0.4580
```

Properties
ΔE_f in eV per atom: -2.72
V in Å³/atom: 14.9
SG: I4/m (87)
Spin magnetization in μB/atom: 0.100

Entry 11:
VASP calculation (meta-GGA r2SCAN) on an optimized crystal structure of BaCaPb.

POSCAR file:
```
BaCaPb
1.0
8.9683 0.0000 0.0000
0.0000 5.3567 0.0000
0.0000 0.0000 9.7968
Ba Ca Pb
4 4 4
Direct
0.0212 0.2500 0.1821
0.4788 0.7500 0.6821
0.5212 0.2500 0.3179
0.9788 0.7500 0.8179
0.1445 0.2500 0.5711
0.3555 0.7500 0.0711
0.6445 0.2500 0.9289
0.8555 0.7500 0.4289
0.2252 0.7500 0.3920
0.2748 0.2500 0.8920
0.7252 0.7500 0.1080
0.7748 0.2500 0.6080
```

Properties
ΔE_f in eV per atom: -0.75
V in Å³/atom: 39.2
SG: Pnma (62)
Spin magnetization in μB/atom: 0.000

Entry 12:
VASP calculation (meta-GGA r2SCAN) on an optimized crystal structure of BaCaSn3.

POSCAR file:
```
BaCaSn3
1.0
8.0387 -4.7774 0.0000
8.0387 4.7774 0.0000
0.0000 0.0000 17.3967
Ba Ca Sn
8 8 24
Direct
0.1774 0.8226 0.9142
0.2176 0.2176 0.5000
0.2824 0.2824 0.0000
0.3226 0.6774 0.4142
0.6774 0.3226 0.5858
0.7176 0.7176 0.0000
0.7824 0.7824 0.5000
0.8226 0.1774 0.0858
0.1248 0.1437 0.2715
0.1437 0.1248 0.7285
0.3563 0.3752 0.2285
0.3752 0.3563 0.7715
0.6248 0.6437 0.2285
0.6437 0.6248 0.7715
0.8563 0.8752 0.2715
0.8752 0.8563 0.7285
0.0112 0.5394 0.8351
0.0394 0.5112 0.3351
0.0683 0.6942 0.0932
0.0684 0.9316 0.5857
0.1942 0.5683 0.5932
0.2197 0.7803 0.2179
0.2803 0.7197 0.7179
0.3058 0.9317 0.0932
0.4316 0.5684 0.0857
0.4317 0.8058 0.5932
0.4606 0.9888 0.8351
0.4888 0.9606 0.3351
0.5112 0.0394 0.6649
0.5394 0.0112 0.1649
0.5683 0.1942 0.4068
0.5684 0.4316 0.9143
0.6942 0.0683 0.9068
0.7197 0.2803 0.2821
0.7803 0.2197 0.7821
0.8058 0.4317 0.4068
0.9316 0.0684 0.4143
0.9317 0.3058 0.9068
0.9606 0.4888 0.6649
0.9888 0.4606 0.1649
```

Properties
ΔE_f in eV per atom: -0.68
V in Å³/atom: 33.4
SG: Cmce (64)
Spin magnetization in μB/atom: 0.000

Entry 13:
VASP calculation (meta-GGA r2SCAN) on an optimized crystal structure of BaCaSn.

POSCAR file:
```
BaCaSn
1.0
8.9257 0.0000 0.0000
0.0000 5.3198 0.0000
0.0000 0.0000 9.7154
Ba Ca Sn
4 4 4
Direct
0.0215 0.2500 0.1810
0.4785 0.7500 0.6810
0.5215 0.2500 0.3190
0.9785 0.7500 0.8190
0.1431 0.2500 0.5716
0.3569 0.7500 0.0716
0.6431 0.2500 0.9284
0.8569 0.7500 0.4284
0.2234 0.7500 0.3917
0.2766 0.2500 0.8917
0.7234 0.7500 0.1083
0.7766 0.2500 0.6083
```

Properties
ΔE_f in eV per atom: -0.79
V in Å³/atom: 38.4
SG: Pnma (62)
Spin magnetization in μB/atom: 0.000

Entry 14:
VASP calculation (meta-GGA r2SCAN) on an optimized crystal structure of BaCaYb2.

POSCAR file:
```
BaCaYb2
1.0
0.0000 4.2313 4.2313
4.2313 0.0000 4.2313
4.2313 4.2313 0.0000
Ba Ca Yb
1 1 2
Direct
0.0000 0.0000 0.0000
0.5000 0.5000 0.5000
0.2500 0.2500 0.2500
0.7500 0.7500 0.7500
```

Properties
ΔE_f in eV per atom: 0.36
V in Å³/atom: 37.9
SG: Fm-3m (225)
Spin magnetization in μB/atom: 0.001

Entry 15:
VASP calculation (meta-GGA r2SCAN) on an optimized crystal structure of BaCd3.

POSCAR file:
```
BaCd3
1.0
3.8159 -6.5956 0.0000
3.8159 6.5956 0.0000
0.0000 0.0000 4.9912
Ba Cd
2 6
Direct
0.1668 0.8332 0.7500
0.8332 0.1668 0.2500
0.2276 0.3640 0.7500
0.3640 0.2276 0.2500
0.3638 0.6362 0.2500
0.6362 0.3638 0.7500
0.6360 0.7724 0.7500
0.7724 0.6360 0.2500
```

Properties
ΔE_f in eV per atom: -0.24
V in Å³/atom: 31.4
SG: Cmcm (63)
Spin magnetization in μB/atom: 0.000

Entry 16:
VASP calculation (meta-GGA r2SCAN) on an optimized crystal structure of BaCd.

POSCAR file:
```
BaCd
1.0
4.2520 0.0000 0.0000
0.0000 4.2520 0.0000
0.0000 0.0000 4.2520
Ba Cd
1 1
Direct
0.0000 0.0000 0.0000
0.5000 0.5000 0.5000
```

Properties
ΔE_f in eV per atom: -0.29
V in Å³/atom: 38.4
SG: Pm-3m (221)
Spin magnetization in μB/atom: 0.000